# 1
A geometry-optimized Na5Y2Hf2SiP5O24 structure, computed with GGA-PBE.

**Raw total energy**: -7.605 eV/atom
**DFT formation energy**: -3.138 eV/atom

Structure (CIF):
```
data_Na5Y2Hf2SiP5O24
_chemical_formula_sum 'Na15 Y6 Hf6 Si3 P15 O72'
_symmetry_space_group_name_H-M 'P 1'
_symmetry_Int_Tables_number 1
_cell_length_a 9.144
_cell_length_b 9.175
_cell_length_c 23.303
_cell_angle_alpha 89.90
_cell_angle_beta 89.96
_cell_angle_gamma 60.16
loop_
_symmetry_equiv_pos_as_xyz
'x,y,z'
loop_
_atom_site_label
_atom_site_fract_x
_atom_site_fract_y
_atom_site_fract_z
_atom_site_occupancy
Na1 0.000 0.000 0.000 1
Na2 0.001 0.634 0.757 1
Na3 0.288 0.317 0.336 1
Na4 0.322 0.973 0.913 1
Na5 0.325 0.620 0.169 1
Na6 0.328 0.965 0.421 1
Na7 0.347 0.288 0.003 1
Na8 0.619 0.654 0.002 1
Na9 0.641 0.318 0.586 1
Na10 0.660 0.679 0.339 1
Na11 0.662 0.308 0.090 1
Na12 0.692 0.609 0.670 1
Na13 0.954 0.991 0.669 1
Na14 0.976 0.661 0.252 1
Na15 0.987 0.289 0.505 1
Y1 0.315 0.984 0.269 1
Y2 0.322 0.983 0.072 1
Y3 0.649 0.317 0.733 1
Y4 0.666 0.305 0.234 1
Y5 0.985 0.660 0.406 1
Y6 0.990 0.651 0.897 1
Hf1 0.317 0.989 0.772 1
Hf2 0.326 0.980 0.567 1
Hf3 0.651 0.319 0.932 1
Hf4 0.654 0.315 0.440 1
Hf5 0.989 0.646 0.102 1
Hf6 0.991 0.641 0.603 1
Si1 0.035 0.275 0.667 1
Si2 0.288 0.644 0.002 1
Si3 0.687 0.649 0.502 1
P1 0.020 0.973 0.165 1
P2 0.286 0.351 0.503 1
P3 0.314 0.292 0.168 1
P4 0.314 0.701 0.668 1
P5 0.362 0.306 0.836 1
P6 0.367 0.604 0.336 1
P7 0.613 0.975 0.668 1
P8 0.628 0.681 0.169 1
P9 0.646 0.617 0.833 1
P10 0.653 0.022 0.338 1
P11 0.698 0.945 0.002 1
P12 0.950 0.315 0.340 1
P13 0.954 0.025 0.834 1
P14 0.982 0.358 0.001 1
P15 0.988 0.948 0.506 1
O1 0.010 0.808 0.160 1
O2 0.012 0.466 0.661 1
O3 0.015 0.435 0.949 1
O4 0.023 0.842 0.452 1
O5 0.100 0.995 0.110 1
O6 0.124 0.160 0.610 1
O7 0.127 0.159 0.336 1
O8 0.130 0.012 0.831 1
O9 0.136 0.180 0.009 1
O10 0.137 0.942 0.217 1
O11 0.139 0.981 0.513 1
O12 0.150 0.691 0.661 1
O13 0.151 0.470 0.162 1
O14 0.153 0.177 0.723 1
O15 0.162 0.685 0.950 1
O16 0.180 0.419 0.447 1
O17 0.186 0.457 0.841 1
O18 0.192 0.473 0.554 1
O19 0.193 0.617 0.342 1
O20 0.199 0.612 0.060 1
O21 0.290 0.811 0.722 1
O22 0.294 0.208 0.222 1
O23 0.299 0.178 0.513 1
O24 0.322 0.803 0.008 1
O25 0.337 0.190 0.113 1
O26 0.340 0.789 0.615 1
O27 0.355 0.140 0.831 1
O28 0.360 0.776 0.335 1
O29 0.442 0.507 0.280 1
O30 0.447 0.328 0.783 1
O31 0.463 0.331 0.497 1
O32 0.464 0.324 0.171 1
O33 0.472 0.288 0.891 1
O34 0.474 0.527 0.672 1
O35 0.475 0.469 0.994 1
O36 0.481 0.790 0.830 1
O37 0.483 0.503 0.388 1
O38 0.486 0.014 0.336 1
O39 0.500 0.810 0.512 1
O40 0.504 0.995 0.615 1
O41 0.516 0.979 0.010 1
O42 0.518 0.764 0.115 1
O43 0.530 0.946 0.722 1
O44 0.545 0.787 0.223 1
O45 0.628 0.520 0.888 1
O46 0.638 0.134 0.390 1
O47 0.639 0.508 0.172 1
O48 0.641 0.126 0.671 1
O49 0.667 0.515 0.779 1
O50 0.670 0.104 0.283 1
O51 0.682 0.470 0.497 1
O52 0.691 0.119 0.995 1
O53 0.763 0.677 0.443 1
O54 0.769 0.832 0.950 1
O55 0.791 0.812 0.661 1
O56 0.800 0.637 0.840 1
O57 0.804 0.842 0.341 1
O58 0.805 0.662 0.161 1
O59 0.813 0.856 0.055 1
O60 0.819 0.617 0.557 1
O61 0.820 0.341 0.995 1
O62 0.828 0.126 0.498 1
O63 0.842 0.341 0.286 1
O64 0.844 0.127 0.170 1
O65 0.846 0.296 0.670 1
O66 0.852 0.107 0.779 1
O67 0.857 0.299 0.394 1
O68 0.860 0.136 0.889 1
O69 0.951 0.473 0.055 1
O70 0.964 0.861 0.559 1
O71 0.969 0.474 0.343 1
O72 0.974 0.850 0.839 1
```

---

# 2
A geometry-optimized BaCaLaBiO6 structure, computed with GGA-PBE.

**Raw total energy**: -6.590 eV/atom
**DFT formation energy**: -2.758 eV/atom

Structure (CIF):
```
data_BaCaLaBiO6
_chemical_formula_sum 'Ba4 Ca4 La4 Bi4 O24'
_symmetry_space_group_name_H-M 'P 2 2 2'
_symmetry_Int_Tables_number 16
_cell_length_a 8.682
_cell_length_b 8.706
_cell_length_c 8.755
_cell_angle_alpha 90.00
_cell_angle_beta 90.00
_cell_angle_gamma 90.00
loop_
_symmetry_equiv_pos_as_xyz
'x,y,z'
'-x,-y,z'
'x,-y,-z'
'-x,y,-z'
loop_
_atom_site_label
_atom_site_fract_x
_atom_site_fract_y
_atom_site_fract_z
_atom_site_occupancy
Ba1 0.000 0.000 0.000 1
Ba2 0.000 0.000 0.500 1
Ba3 0.500 0.000 0.000 1
Ba4 0.500 0.500 0.000 1
Ca1 0.000 0.500 0.000 1
Ca2 0.000 0.500 0.500 1
Ca3 0.500 0.000 0.500 1
Ca4 0.500 0.500 0.500 1
La1 0.250 0.254 0.254 1
Bi1 0.252 0.255 0.743 1
O1 0.015 0.300 0.687 1
O2 0.200 0.307 0.981 1
O3 0.211 0.015 0.781 1
O4 0.302 0.192 0.511 1
O5 0.305 0.489 0.691 1
O6 0.488 0.226 0.797 1
```